PrHoZn2 | PBE | relaxed

Lattice parameters (Å, degrees): 7.2626 7.2626 7.2626 90.00 90.00 90.00
Space group Fm-3m (No. 225)
Inequivalent atoms, fractional coordinates:
Pr 0.0000 0.0000 0.0000
Ho 0.0000 0.0000 0.5000
Zn 0.2500 0.2500 0.2500

Values from the calculation:
total DFT energy (no corrections): -3.288 eV/atom

=====

HoPt | PBE | relaxed

Lattice parameters (Å, degrees): 6.9873 4.5270 5.5655 90.00 90.00 90.00
Space group Pnma (No. 62)
Inequivalent atoms, fractional coordinates:
Ho 0.1809 0.2500 0.1369
Pt 0.0438 0.2500 0.6521

Values from the calculation:
total DFT energy (no corrections): -6.623 eV/atom

=====

Ho5Pt4 | PBE | relaxed

Lattice parameters (Å, degrees): 7.4568 14.7027 7.5549 90.00 90.00 90.00
Space group Pnma (No. 62)
Inequivalent atoms, fractional coordinates:
Ho 0.0010 0.0926 0.1802
Ho 0.1574 0.1225 0.6676
Ho 0.1815 0.7500 0.5125
Pt 0.0460 0.7500 0.1123
Pt 0.1828 0.5417 0.4674
Pt 0.1842 0.2500 0.3572

Values from the calculation:
total DFT energy (no corrections): -6.427 eV/atom

=====

Ho2Pt | PBE | relaxed

Lattice parameters (Å, degrees): 7.1627 4.7539 8.7423 90.00 90.00 90.00
Space group Pnma (No. 62)
Inequivalent atoms, fractional coordinates:
Ho 0.0107 0.2500 0.1678
Ho 0.1441 0.2500 0.5800
Pt 0.2428 0.2500 0.9076

Values from the calculation:
total DFT energy (no corrections): -6.036 eV/atom

=====

HoPt3 | PBE | relaxed

Lattice parameters (Å, degrees): 4.1122 4.1122 4.1122 90.00 90.00 90.00
Space group Pm-3m (No. 221)
Inequivalent atoms, fractional coordinates:
Ho 0.0000 0.0000 0.0000
Pt 0.0000 0.5000 0.5000

Values from the calculation:
total DFT energy (no corrections): -6.724 eV/atom

=====

Ho5Pt3 | PBE | relaxed

Lattice parameters (Å, degrees): 8.4233 8.4233 6.1516 90.00 90.00 120.00
Space group P6_3/mcm (No. 193)
Inequivalent atoms, fractional coordinates:
Ho 0.0000 0.2446 0.2500
Ho 0.3333 0.6667 0.0000
Pt 0.0000 0.3925 0.7500

Values from the calculation:
total DFT energy (no corrections): -6.159 eV/atom

=====

HoPt2 | PBE | relaxed

Lattice parameters (Å, degrees): 7.6802 7.6802 7.6802 90.00 90.00 90.00
Space group Fd-3m (No. 227, origin choice 2)
Inequivalent atoms, fractional coordinates:
Ho 0.1250 0.1250 0.1250
Pt 0.0000 0.0000 0.5000

Values from the calculation:
total DFT energy (no corrections): -6.678 eV/atom

=====

Ho2Si3Pt3 | PBE | relaxed

Lattice parameters (Å, degrees): 2.7913 2.7913 20.6785 90.00 90.00 90.00
Space group P4/mmm (No. 123)
Inequivalent atoms, fractional coordinates:
Ho 0.0000 0.0000 0.2470
Si 0.0000 0.0000 0.0000
Si 0.0000 0.0000 0.3869
Pt 0.0000 0.0000 0.1156
Pt 0.0000 0.0000 0.5000

Values from the calculation:
total DFT energy (no corrections): -5.081 eV/atom